No. 1
! NaMgH3 (r2SCAN, optimized geometry); values from VASP
! Space group   No. 62
! Energy relative to the elements   -0.300 eV/atom
! Final energy   -3.92 eV per atom
&SYSTEM
  ibrav = 0, nat = 20, ntyp = 3
/
ATOMIC_SPECIES
H 1.01 H.upf
Mg 24.30 Mg.upf
Na 22.99 Na.upf
ATOMIC_POSITIONS angstrom
H 4.8724 2.5762 1.9026
H 4.1969 1.1537 4.1451
H 3.7804 3.8678 7.2702
Mg 0.0000 2.7141 0.0000
Na 2.6062 2.8921 1.9026
H 0.4459 2.8520 5.7077
H 3.7804 3.8678 4.1451
Na 0.0530 0.1780 1.9026
H 1.5378 1.5604 0.3400
H 1.1213 4.2745 3.4651
Mg 2.6591 0.0000 3.8051
Na 2.7121 2.5361 5.7077
H 3.1050 5.2903 1.9026
Na 5.2653 5.2502 5.7077
H 1.5378 1.5604 3.4651
Mg 2.6591 0.0000 0.0000
H 4.1969 1.1537 7.2702
Mg 0.0000 2.7141 3.8051
H 1.1213 4.2745 0.3400
H 2.2132 0.1379 5.7077
CELL_PARAMETERS angstrom
5.3183 0.0000 0.0000
0.0000 5.4282 0.0000
0.0000 0.0000 7.6102

No. 2
! NaMg3P3H2O12 (r2SCAN, optimized geometry); values from VASP
! Space group   No. 15
! Energy relative to the elements   -2.552 eV/atom
! Final energy   -8.35 eV per atom
&SYSTEM
  ibrav = 0, nat = 42, ntyp = 5
/
ATOMIC_SPECIES
O 16.00 O.upf
Na 22.99 Na.upf
Mg 24.30 Mg.upf
H 1.01 H.upf
P 30.97 P.upf
ATOMIC_POSITIONS angstrom
O -4.9850 3.1113 -1.2924
O -5.7672 -3.1113 -0.4561
Na -5.3791 5.5369 -2.4954
O -4.2121 1.3152 -2.9157
O -3.8647 1.0942 0.6725
Mg -8.4813 -1.9496 1.3098
Na -5.3730 -5.5369 0.7469
H -6.6288 0.0659 0.9303
O -9.0817 -0.0168 1.3865
Mg -8.4874 1.9496 -1.9325
Mg -5.3730 2.6711 0.7469
O -2.3167 -2.1458 -4.2240
P -2.3403 -1.3340 -2.9424
O -6.5400 -1.3152 1.1672
H -4.1233 -0.0659 -2.6787
Mg -2.2647 -1.9496 0.1841
P -8.4180 -1.3340 -2.0484
P -5.3791 2.2217 -2.4954
H -4.1171 0.0659 0.5635
O -7.0452 3.9273 0.5826
O -2.3106 2.1458 -0.9817
O -6.8813 1.0942 0.8214
O -3.8708 -1.0942 -2.5698
O -3.7008 3.9273 0.9112
Mg -5.3791 -2.6711 -2.4954
O -5.7733 3.1113 -3.6984
O -6.5462 1.3152 -2.0751
O -1.6643 -0.0168 0.1074
H -6.6350 -0.0659 -2.3120
O -3.7070 -3.9273 -2.3311
P -8.4118 1.3340 1.1939
O -7.0513 -3.9273 -2.6597
O -4.2060 -1.3152 0.3266
O -4.9788 -3.1113 1.9499
O -8.4354 2.1458 2.4755
O -9.0878 0.0168 -1.8558
Mg -2.2708 1.9496 -3.0582
O -6.8874 -1.0942 -2.4209
O -1.6704 0.0168 -3.1349
P -5.3730 -2.2217 0.7469
P -2.3341 1.3340 0.2999
O -8.4416 -2.1458 -0.7667
CELL_PARAMETERS angstrom
-0.0123 0.0000 -6.4846
-5.3699 -6.0059 2.3681
-5.3699 6.0059 2.3681

No. 3
! Na3MgP2HO8 (r2SCAN, optimized geometry); values from VASP
! Space group   No. 2
! Energy relative to the elements   -2.462 eV/atom
! Final energy   -8.07 eV per atom
&SYSTEM
  ibrav = 0, nat = 15, ntyp = 5
/
ATOMIC_SPECIES
O 16.00 O.upf
P 30.97 P.upf
Na 22.99 Na.upf
H 1.01 H.upf
Mg 24.30 Mg.upf
ATOMIC_POSITIONS angstrom
O -0.6492 -3.7781 -2.8915
O -3.2793 -2.4564 -0.7739
O 0.5500 -5.3212 -1.3306
P -2.2812 -2.4959 0.3915
O -1.7992 -5.8618 -2.0804
O -0.9301 -1.9158 -0.0241
O -2.8406 -1.7654 1.6028
Na 1.1195 -3.1818 -0.3070
P -0.4480 -5.2817 -2.4961
O -2.0800 -3.9995 0.7869
O 0.1113 -6.0122 -3.7073
H 0.3870 -3.1797 -2.7956
Na -0.9995 -5.9714 0.3336
Mg 0.0000 0.0000 0.0000
Na -1.7297 -1.8063 -2.4381
CELL_PARAMETERS angstrom
-3.5033 -1.4183 3.4867
-1.4649 0.0043 -4.9773
2.2389 -6.3636 -0.6140

No. 4
! Na2MgH8S2O12 (r2SCAN, optimized geometry); values from VASP
! Space group   No. 14
! Energy relative to the elements   -1.593 eV/atom
! Final energy   -6.66 eV per atom
&SYSTEM
  ibrav = 0, nat = 50, ntyp = 5
/
ATOMIC_SPECIES
O 16.00 O.upf
Na 22.99 Na.upf
H 1.01 H.upf
S 32.06 S.upf
Mg 24.30 Mg.upf
ATOMIC_POSITIONS angstrom
O -4.2192 4.5296 9.1946
O -5.6352 3.2222 0.5847
O -2.2591 6.0866 5.7353
Na -0.8425 2.6804 6.6036
O -3.0561 6.3849 2.8788
O -5.5411 7.3610 7.0267
O -3.7935 4.7501 0.2103
O -1.9904 3.8821 9.7952
O -2.6216 4.0715 7.4601
O -4.2809 7.7032 5.0104
H -4.6398 0.8667 0.6001
H -3.9283 0.9089 1.9643
O -4.7181 0.5320 1.5182
H -1.3239 0.6807 2.1285
S -5.2315 4.6255 0.5807
Na -6.1287 5.9259 8.8784
O -3.2946 8.7477 7.8867
O -4.9567 2.8949 6.5261
H -4.2401 3.4457 6.9110
O -3.7319 1.5766 4.3945
H -4.4735 2.2693 5.9461
H -4.3088 2.8660 9.5902
Mg 0.0000 0.0000 0.0000
O -1.3180 1.7473 4.4980
H -5.4806 3.9358 3.0785
H -4.9648 2.6249 3.8351
H -3.7040 6.4137 -0.1853
O -2.4716 1.9187 2.3782
H -3.3729 8.4130 8.8049
Na -1.8841 3.3538 0.5265
H -3.0479 6.6548 5.5698
H -2.5322 5.3439 6.3264
H -3.5392 7.0104 3.4588
O -3.5363 7.3190 -0.5387
Mg -1.5253 5.4150 3.9331
O -2.6681 3.6925 4.0220
S -2.5214 2.2408 3.8341
O -4.4764 1.9607 9.9436
O -2.3776 6.0576 8.8202
H -4.0844 8.3708 7.4407
S -5.4914 7.0390 5.5709
H -3.7726 5.8341 2.4940
H -6.6889 8.5990 7.2764
O -6.0224 5.3976 -0.3903
O -6.6947 7.5325 4.9069
O -5.7536 3.1931 3.6697
O -5.3912 5.2082 1.9448
O -5.3446 5.5872 5.3829
S -2.7812 4.6542 8.8242
Na -7.1702 6.5993 2.8013
CELL_PARAMETERS angstrom
-3.0268 7.1796 -2.5282
-4.9622 -1.5502 1.5386
-0.0237 3.6503 10.3945